1.
Li9Mn2Co5O16: relaxed, PBE with a Hubbard U.

Calculated values
For the volume, the calculation gives 9.0 A^3/atom. The space-group type is P2/m. The value obtained for the energy with MP2020 corrections is -6.515 eV/atom.

```
Li9Mn2Co5O16
1.0
5.8931 0.0000 0.0000
0.0000 5.8097 0.0000
-0.0382 0.0000 8.4560
Li Mn Co O
9 2 5 16
direct
0.0000 0.0000 0.0000
0.0000 0.0000 0.5000
0.0000 0.5000 0.0000
0.2487 0.2461 0.2590
0.2487 0.7539 0.2590
0.5000 0.0000 0.5000
0.5000 0.5000 0.5000
0.7513 0.2461 0.7410
0.7513 0.7539 0.7410
0.0000 0.5000 0.5000
0.5000 0.0000 0.0000
0.2455 0.2455 0.7397
0.2455 0.7545 0.7397
0.5000 0.5000 0.0000
0.7545 0.2455 0.2603
0.7545 0.7545 0.2603
0.0005 0.5000 0.7291
0.0271 0.0000 0.7569
0.2364 0.2629 0.5059
0.2364 0.7371 0.5059
0.2727 0.2433 0.0011
0.2727 0.7567 0.0011
0.4715 0.5000 0.7567
0.4940 0.0000 0.7678
0.5060 0.0000 0.2322
0.5285 0.5000 0.2433
0.7273 0.2433 0.9989
0.7273 0.7567 0.9989
0.7636 0.2629 0.4941
0.7636 0.7371 0.4941
0.9729 0.0000 0.2431
0.9995 0.5000 0.2709
```

***

2.
DyFeH8C6N6O4: relaxed, PBE with a Hubbard U.

Calculated values
For the volume, the calculation gives 12.5 A^3/atom. The space-group type is Cmcm. The value obtained for the energy with MP2020 corrections is -6.885 eV/atom.

```
DyFeH8C6N6O4
1.0
3.7187 -6.4148 0.0000
3.7187 6.4148 0.0000
0.0000 0.0000 13.6083
Dy Fe H C N O
2 2 16 12 12 8
direct
0.1780 0.8220 0.7500
0.8220 0.1780 0.2500
0.5000 0.5000 0.0000
0.5000 0.5000 0.5000
0.0142 0.6304 0.1913
0.0142 0.6304 0.3087
0.0798 0.9202 0.0931
0.0798 0.9202 0.4069
0.1870 0.8130 0.0368
0.1870 0.8130 0.4632
0.3696 0.9858 0.1913
0.3696 0.9858 0.3087
0.6304 0.0142 0.6913
0.6304 0.0142 0.8087
0.8130 0.1870 0.5368
0.8130 0.1870 0.9632
0.9202 0.0798 0.5931
0.9202 0.0798 0.9069
0.9858 0.3696 0.6913
0.9858 0.3696 0.8087
0.2648 0.3592 0.0887
0.2648 0.3592 0.4113
0.3592 0.2648 0.5887
0.3592 0.2648 0.9113
0.3629 0.6371 0.5583
0.3629 0.6371 0.9417
0.6371 0.3629 0.0583
0.6371 0.3629 0.4417
0.6408 0.7352 0.0887
0.6408 0.7352 0.4113
0.7352 0.6408 0.5887
0.7352 0.6408 0.9113
0.1209 0.2746 0.1409
0.1209 0.2746 0.3591
0.2746 0.1209 0.6409
0.2746 0.1209 0.8591
0.2810 0.7190 0.5964
0.2810 0.7190 0.9036
0.7190 0.2810 0.0964
0.7190 0.2810 0.4036
0.7254 0.8791 0.1409
0.7254 0.8791 0.3591
0.8791 0.7254 0.6409
0.8791 0.7254 0.8591
0.0443 0.4593 0.7500
0.1555 0.8445 0.1028
0.1555 0.8445 0.3972
0.4593 0.0443 0.2500
0.5407 0.9557 0.7500
0.8445 0.1555 0.6028
0.8445 0.1555 0.8972
0.9557 0.5407 0.2500
```